Entry 1:
DFT (GGA-PBE) results for a geometry-optimized Cd5Ge2N6 structure.

Computed properties:
volume: 16.1 A^3/atom
E_tot: -4.53 eV per atom
E_form: 0.215 eV per atom

POSCAR file:
```
Cd5Ge2N6
1.0
-4.6436 2.4202 2.1753
-0.1335 -3.6448 -4.9737
-1.7025 -11.3804 8.3854
Ge N Cd
4 12 10
Direct
0.4223 0.0236 0.4105
0.5777 0.9764 0.5895
0.4223 0.3987 0.9105
0.5777 0.6013 0.0895
0.5873 0.5410 0.7960
0.9183 0.0040 0.6093
0.0817 0.0857 0.8907
0.4127 0.9537 0.7040
0.3475 0.6061 0.9919
0.9183 0.9143 0.1093
0.0817 0.9960 0.3907
0.5873 0.0463 0.2960
0.6525 0.2585 0.5081
0.3475 0.7415 0.4919
0.4127 0.4590 0.2040
0.6525 0.3939 0.0081
0.1180 0.3135 0.4804
0.8820 0.6865 0.5196
0.8820 0.1956 0.0196
0.2873 0.0305 0.1961
0.2873 0.2567 0.6961
0.0000 0.3182 0.2500
0.7127 0.7433 0.3039
0.0000 0.6818 0.7500
0.1180 0.8044 0.9804
0.7127 0.9695 0.8039
```

Entry 2:
DFT (GGA-PBE) results for a geometry-optimized LaP12Ru4 structure.

Computed properties:
volume: 15.7 A^3/atom
E_tot: -6.98 eV per atom
E_form: -0.686 eV per atom

POSCAR file:
```
LaP12Ru4
1.0
-4.0558 4.0558 4.0558
4.0558 -4.0558 4.0558
4.0558 4.0558 -4.0558
P La Ru
12 1 4
Direct
0.3582 0.8559 0.2141
0.4977 0.6418 0.8559
0.6418 0.1441 0.7859
0.1441 0.5023 0.3582
0.1441 0.7859 0.6418
0.2141 0.3582 0.8559
0.8559 0.4977 0.6418
0.7859 0.6418 0.1441
0.8559 0.2141 0.3582
0.6418 0.8559 0.4977
0.3582 0.1441 0.5023
0.5023 0.3582 0.1441
0.0000 0.0000 0.0000
0.0000 0.0000 0.5000
0.0000 0.5000 0.0000
0.5000 0.5000 0.5000
0.5000 0.0000 0.0000
```

Entry 3:
DFT (GGA-PBE) results for a geometry-optimized ThGaPt structure.

Computed properties:
volume: 21.5 A^3/atom
E_tot: -6.57 eV per atom
E_form: -1.061 eV per atom

POSCAR file:
```
ThGaPt
1.0
3.6912 -6.3933 0.0000
3.6912 6.3933 0.0000
0.0000 0.0000 4.1036
Ga Pt Th
3 3 3
Direct
0.2432 0.0000 0.0000
0.0000 0.2432 0.0000
0.7568 0.7568 0.0000
0.0000 0.0000 0.5000
0.3333 0.6667 0.0000
0.6667 0.3333 0.0000
0.5880 0.0000 0.5000
0.0000 0.5880 0.5000
0.4120 0.4120 0.5000
```

Entry 4:
DFT (GGA-PBE) results for a geometry-optimized Mg14ZnNi structure.

Computed properties:
volume: 21.0 A^3/atom
E_tot: -1.83 eV per atom
E_form: 0.012 eV per atom

POSCAR file:
```
Mg14ZnNi
1.0
-3.6689 -5.0072 1.0067
4.0037 1.9822 4.4964
-6.9555 5.8254 3.6253
Mg Zn Ni
14 1 1
Direct
0.6612 0.8287 0.6250
0.8319 0.1660 0.3769
0.3194 0.1533 0.3456
0.7092 0.8530 0.1250
0.8319 0.1660 0.8731
0.1715 0.8358 0.6250
0.3194 0.1533 0.9044
0.8388 0.6694 0.8803
0.1724 0.3362 0.6250
0.6612 0.3324 0.6250
0.3194 0.6662 0.9044
0.8388 0.6694 0.3697
0.3194 0.6662 0.3456
0.7092 0.3562 0.1250
0.1543 0.3272 0.1250
0.1416 0.8208 0.1250
```

Entry 5:
DFT (GGA-PBE) results for a geometry-optimized TiFeGe structure.

Computed properties:
volume: 13.9 A^3/atom
E_tot: -7.54 eV per atom
E_form: -0.541 eV per atom

POSCAR file:
```
TiFeGe
1.0
0.0000 0.0000 6.4064
7.0981 0.0000 0.0000
-3.5490 5.4932 -3.2032
Fe Ti Ge
6 6 6
Direct
0.0012 0.5000 0.0000
0.4954 0.0855 0.2464
0.4954 0.6609 0.2464
0.2490 0.3391 0.7536
0.0012 0.0000 0.0000
0.2490 0.9145 0.7536
0.7884 0.5236 0.5472
0.2465 0.9465 0.3930
0.2413 0.4764 0.4528
0.6627 0.7488 0.9976
0.8535 0.0535 0.6070
0.6650 0.2512 0.0024
0.2862 0.2820 0.0640
0.9132 0.1613 0.3346
0.5785 0.8387 0.6654
0.9132 0.6734 0.3346
0.2223 0.7180 0.9360
0.5785 0.3266 0.6654
```

Entry 6:
DFT (GGA-PBE) results for a geometry-optimized BaMg14CuO16 structure.

Computed properties:
volume: 10.7 A^3/atom
E_tot: -5.74 eV per atom
energy relative to the lowest polymorph listed for this composition: 0 meV per atom
E_form: -2.726 eV per atom

POSCAR file:
```
BaMg14CuO16
1.0
8.9119 0.0000 0.0000
0.0000 8.6340 0.0000
0.0000 0.0000 4.4689
Ba Mg Cu O
1 14 1 16
Direct
0.0000 0.5000 0.0000
0.5000 0.7537 0.5000
0.2615 0.2395 0.0000
0.7317 0.5000 0.5000
0.7385 0.7605 0.0000
0.7385 0.2395 0.0000
0.2529 0.0000 0.5000
0.5000 0.2463 0.5000
0.0000 0.7679 0.5000
0.0000 0.2321 0.5000
0.7471 0.0000 0.5000
0.5000 0.5000 0.0000
0.2615 0.7605 0.0000
0.2683 0.5000 0.5000
0.5000 0.0000 0.0000
0.0000 0.0000 0.0000
0.5000 0.2474 0.0000
0.0000 0.2170 0.0000
0.5000 0.0000 0.5000
0.2720 0.0000 0.0000
0.7203 0.5000 0.0000
0.7280 0.0000 0.0000
0.2797 0.5000 0.0000
0.5000 0.7526 0.0000
0.5000 0.5000 0.5000
0.7513 0.7497 0.5000
0.2487 0.7497 0.5000
0.7513 0.2503 0.5000
0.0000 0.7830 0.0000
0.0000 0.0000 0.5000
0.2487 0.2503 0.5000
0.0000 0.5000 0.5000
```